LiNbO3: optimized geometry, meta-GGA r2SCAN.

Cell lengths 6.1867, 8.2658, 9.5093 Å; angles 90.00, 89.94, 90.00 degrees
Atoms (fractional coordinates):
Li: 0.4810 0.8154 0.4803
O: 0.9321 0.6310 0.1253
O: 0.4842 0.5294 0.1580
Nb: 0.2663 0.9992 0.2428
O: 0.3043 0.8389 0.0975
Nb: 0.2663 0.5008 0.7428
Nb: 0.9975 0.8022 0.0015
Li: 0.7770 0.3830 0.7701
O: 0.8168 0.3064 0.1350
O: 0.7258 0.6867 0.3956
O: 0.0634 0.4872 0.3691
Nb: 0.0025 0.3022 0.4985
O: 0.9321 0.8690 0.6253
O: 0.6957 0.3389 0.4025
Li: 0.5190 0.3154 0.0197
Li: 0.2230 0.8830 0.7299
O: 0.0679 0.3690 0.8747
O: 0.0634 0.0128 0.8691
Li: 0.4810 0.6846 0.9803
Nb: 0.7337 0.0008 0.7572
O: 0.1832 0.8064 0.3650
O: 0.7258 0.8133 0.8956
O: 0.9366 0.9872 0.1309
O: 0.2742 0.3133 0.6044
O: 0.5158 0.4706 0.8420
O: 0.8168 0.1936 0.6350
O: 0.2742 0.1867 0.1044
Nb: 0.7337 0.4992 0.2572
O: 0.3043 0.6611 0.5975
Li: 0.2230 0.6170 0.2299
O: 0.1832 0.6936 0.8650
O: 0.6957 0.1611 0.9025
O: 0.9366 0.5128 0.6309
Nb: 0.9975 0.6978 0.5015
O: 0.0679 0.1310 0.3747
Nb: 0.0025 0.1978 0.9985
O: 0.5158 0.0294 0.3420
Li: 0.7770 0.1170 0.2701
Li: 0.5190 0.1846 0.5197
O: 0.4842 0.9706 0.6580

***

KMg6Co: optimized geometry, meta-GGA r2SCAN.

Cell lengths 4.7487, 6.2584, 13.7993 Å; angles 90.00, 90.00, 90.00 degrees
Atoms (fractional coordinates):
Mg: 0.5000 0.5000 0.6306
Mg: 0.0000 0.5000 0.8140
Mg: 0.0000 0.0000 0.3140
Mg: 0.0000 0.7482 0.0503
Mg: 0.5000 0.0000 0.1306
K: 0.5000 0.0000 0.7118
Mg: 0.5000 0.2529 0.4245
Mg: 0.0000 0.7518 0.5503
Mg: 0.5000 0.7471 0.4245
Mg: 0.5000 0.2471 0.9245
Mg: 0.5000 0.7529 0.9245
Co: 0.0000 0.5000 0.3940
Mg: 0.0000 0.2518 0.0503
K: 0.5000 0.5000 0.2118
Co: 0.0000 0.0000 0.8940
Mg: 0.0000 0.2482 0.5503

***

AlAsO4: optimized geometry, meta-GGA r2SCAN.

Cell lengths 5.0271, 5.0271, 11.2715 Å; angles 90.01, 89.99, 120.00 degrees
Atoms (fractional coordinates):
Al: 0.9999 0.4559 0.6666
As: 0.4546 0.0000 0.8333
O: 0.8853 0.5962 0.5464
Al: 0.4559 0.9999 0.3334
O: 0.1147 0.7112 0.7869
O: 0.2891 0.4038 0.1202
O: 0.2993 0.4054 0.6151
O: 0.4038 0.2891 0.8798
As: 0.5454 0.5454 0.5000
O: 0.5945 0.8936 0.9483
O: 0.8936 0.5945 0.0517
O: 0.4054 0.2993 0.3849
O: 0.7112 0.1147 0.2131
Al: 0.5440 0.5441 0.0000
As: 0.0000 0.4546 0.1667
O: 0.7008 0.1062 0.7182
O: 0.5962 0.8853 0.4536
O: 0.1062 0.7008 0.2818

***

TmCo3P2: optimized geometry, meta-GGA r2SCAN.

Cell lengths 3.6534, 10.3691, 12.0220 Å; angles 90.00, 90.00, 90.00 degrees
Atoms (fractional coordinates):
Tm: 0.0000 0.5000 0.5225
P: 0.5000 0.3117 0.6160
Co: 0.0000 0.3793 0.2907
P: 0.0000 0.1883 0.3840
Co: 0.5000 0.0000 0.0132
Co: 0.0000 0.5000 0.9868
Co: 0.5000 0.6668 0.9949
P: 0.5000 0.8458 0.8926
Co: 0.0000 0.0000 0.2969
P: 0.0000 0.0000 0.1188
Co: 0.0000 0.6207 0.2907
Tm: 0.0000 0.3177 0.7940
P: 0.0000 0.3458 0.1074
P: 0.5000 0.5000 0.3453
Tm: 0.5000 0.1823 0.2060
Co: 0.5000 0.5000 0.7031
Co: 0.5000 0.5000 0.1564
Tm: 0.5000 0.8177 0.2060
P: 0.0000 0.0000 0.6547
Co: 0.5000 0.3332 0.9949
Co: 0.5000 0.2969 0.4311
Co: 0.0000 0.2031 0.5689
Tm: 0.5000 0.0000 0.4775
Co: 0.0000 0.7969 0.5689
Co: 0.5000 0.1207 0.7093
Tm: 0.0000 0.6823 0.7940
Co: 0.0000 0.1668 0.0051
P: 0.0000 0.8117 0.3840
P: 0.5000 0.6883 0.6160
P: 0.0000 0.6542 0.1074
Co: 0.5000 0.7031 0.4311
Co: 0.0000 0.8332 0.0051
Co: 0.0000 0.0000 0.8436
P: 0.5000 0.5000 0.8812
P: 0.5000 0.1542 0.8926
Co: 0.5000 0.8793 0.7093

***

Sc3IrC4: optimized geometry, meta-GGA r2SCAN.

Cell lengths 6.7264, 6.7264, 6.7264 Å; angles 150.22, 141.48, 49.44 degrees
Atoms (fractional coordinates):
C: 0.2087 0.8721 0.3366
Sc: 0.1903 0.6903 0.5000
C: 0.4645 0.1279 0.3366
Sc: 0.8097 0.3097 0.5000
C: 0.7913 0.1279 0.6634
C: 0.5355 0.8721 0.6634
Ir: 0.0000 0.0000 0.0000
Sc: 0.5000 0.5000 0.0000

***

MgCd3: optimized geometry, meta-GGA r2SCAN.

The energy above the most stable polymorph in this dataset is 0 meV per atom.

Cell lengths 6.3317, 6.3317, 4.8545 Å; angles 90.00, 90.00, 120.00 degrees
Atoms (fractional coordinates):
Cd: 0.8330 0.6660 0.2500
Cd: 0.6660 0.8330 0.7500
Mg: 0.3333 0.6667 0.2500
Cd: 0.3340 0.1670 0.2500
Cd: 0.1670 0.8330 0.7500
Cd: 0.8330 0.1670 0.2500
Cd: 0.1670 0.3340 0.7500
Mg: 0.6667 0.3333 0.7500

***

HfSiNi: optimized geometry, meta-GGA r2SCAN.

Cell lengths 3.7665, 6.3849, 7.1729 Å; angles 90.00, 90.00, 90.00 degrees
Atoms (fractional coordinates):
Ni: 0.2500 0.1400 0.9386
Hf: 0.7500 0.9831 0.6853
Hf: 0.2500 0.0169 0.3147
Hf: 0.7500 0.4831 0.8147
Si: 0.7500 0.2278 0.1148
Si: 0.2500 0.2722 0.6148
Si: 0.2500 0.7722 0.8852
Ni: 0.7500 0.8600 0.0614
Ni: 0.7500 0.3600 0.4386
Ni: 0.2500 0.6400 0.5614
Hf: 0.2500 0.5169 0.1853
Si: 0.7500 0.7278 0.3852

***

ScCuSi: optimized geometry, meta-GGA r2SCAN.

Cell lengths 6.3831, 6.3831, 3.9426 Å; angles 90.00, 90.00, 120.00 degrees
Atoms (fractional coordinates):
Si: 0.0000 0.0000 0.5000
Cu: 0.2418 0.0000 0.0000
Cu: 0.7582 0.7582 0.0000
Si: 0.3333 0.6667 0.0000
Sc: 0.5691 0.0000 0.5000
Sc: 0.4309 0.4309 0.5000
Sc: 0.0000 0.5691 0.5000
Si: 0.6667 0.3333 0.0000
Cu: 0.0000 0.2418 0.0000

***

no.,final energy (eV/cell),energy of formation (kcal/mol of atoms)
1,-467.24,-61.650
2,-83.11,7.828
3,-175.42,-50.511
4,-589.85,-21.065
5,-131.23,-14.072
6,-129.45,-1.394
7,-274.62,-21.130
8,-99.24,-15.841